[1]
Sc5Cu5O13: relaxed, PBE.

Results
Formation energy: -58.2 eV per formula unit
SG: P1
Crystal system: triclinic

Unit cell a=5.8298 b=6.0021 c=8.8062 alpha=71.20 beta=70.70 gamma=80.74
Sites, in units of the cell vectors:
Sc1 0.4977 0.5050 0.4999
Sc2 0.8985 0.5474 0.6911
Sc3 0.7003 0.4621 0.1105
Sc4 0.1016 0.5080 0.2970
Sc5 0.3022 0.4614 0.9036
O1 0.4278 0.6694 0.2605
O2 0.8215 0.6800 0.4527
O3 0.9675 0.3347 0.9189
O4 0.3573 0.3242 0.1450
O5 0.1817 0.3387 0.5357
O6 0.7818 0.3290 0.3495
O7 0.7255 0.0520 0.2055
O8 0.2475 0.6797 0.6673
O9 0.3337 0.0471 0.9746
O10 0.6024 0.3303 0.7220
O11 0.0125 0.6645 0.0649
O12 0.8604 0.9481 0.6134
O13 0.6009 0.6633 0.8796
Cu1 0.9983 0.9999 0.0135
Cu2 0.4307 0.0001 0.1742
Cu3 0.7879 0.0032 0.4094
Cu4 0.5954 0.9959 0.7953
Cu5 0.1969 0.0091 0.6053

---

[2]
Ti2ZnO4: relaxed, PBE.

Results
Formation energy: -19.3 eV per formula unit
SG: Cm
Crystal system: monoclinic

Unit cell a=6.1273 b=6.1273 c=14.8547 alpha=89.56 beta=89.56 gamma=58.31
Sites, in units of the cell vectors:
Ti1 0.1928 0.6483 0.1596
Ti2 0.1599 0.1599 0.0358
Ti3 0.6483 0.1928 0.1596
Ti4 0.8105 0.3445 0.8370
Ti5 0.4950 0.4950 0.0082
Ti6 0.4962 0.4962 0.3766
Ti7 0.5146 0.9871 0.5000
Ti8 0.8309 0.8309 0.7156
Ti9 0.1682 0.1682 0.2885
Ti10 0.9871 0.5146 0.5000
Ti11 0.3445 0.8105 0.8370
Ti12 0.5024 0.5024 0.6204
O1 0.0009 0.0009 0.7553
O2 0.3387 0.8241 0.0841
O3 0.1606 0.1606 0.9095
O4 0.8488 0.3301 0.5797
O5 0.6635 0.6635 0.4193
O6 0.9986 0.4859 0.7550
O7 0.8290 0.8290 0.5868
O8 0.6563 0.6563 0.9176
O9 0.5000 0.5000 0.2474
O10 0.1727 0.1727 0.4165
O11 0.3246 0.3246 0.0783
O12 0.8241 0.3387 0.0841
O13 0.3301 0.8488 0.5797
O14 0.1527 0.6690 0.4198
O15 0.8425 0.8425 0.0948
O16 0.5091 0.0067 0.2475
O17 0.3322 0.3322 0.5785
O18 0.1921 0.6595 0.9159
O19 0.0025 0.0025 0.2451
O20 0.4859 0.9986 0.7550
O21 0.5054 0.5054 0.7488
O22 0.0067 0.5091 0.2475
O23 0.6690 0.1527 0.4198
O24 0.6595 0.1921 0.9159
Zn1 0.8314 0.8314 0.9609
Zn2 0.1669 0.1669 0.6683
Zn3 0.0020 0.0020 0.4994
Zn4 0.3306 0.3306 0.8367
Zn5 0.8397 0.8397 0.3291
Zn6 0.6759 0.6759 0.1658

---

[3]
Ho2Fe14B: relaxed, PBE.

Results
Formation energy: -1.9 eV per formula unit
SG: P4_2/mnm
Crystal system: tetragonal

Unit cell a=8.7232 b=8.7232 c=11.8721 alpha=90.00 beta=90.00 gamma=90.00
Sites, in units of the cell vectors:
Fe1 0.9629 0.3587 0.8255
Fe2 0.1413 0.4629 0.6745
Fe3 0.5972 0.5972 0.7000
Fe4 0.5000 0.0000 0.0000
Fe5 0.3171 0.6829 0.2459
Fe6 0.4028 0.4028 0.3000
Fe7 0.6413 0.0371 0.8255
Fe8 0.0661 0.7244 0.3739
Fe9 0.0000 0.0000 0.3841
Fe10 0.3171 0.6829 0.7541
Fe11 0.5000 0.5000 0.1159
Fe12 0.4629 0.1413 0.6745
Fe13 0.7756 0.5661 0.1261
Fe14 0.2244 0.4339 0.1261
Fe15 0.2756 0.9339 0.3739
Fe16 0.5371 0.8587 0.3255
Fe17 0.0000 0.5000 0.0000
Fe18 0.9028 0.0972 0.8000
Fe19 0.0371 0.6413 0.1745
Fe20 0.0000 0.5000 0.5000
Fe21 0.1829 0.1829 0.2541
Fe22 0.2756 0.9339 0.6261
Fe23 0.9339 0.2756 0.3739
Fe24 0.4339 0.2244 0.8739
Fe25 0.2244 0.4339 0.8739
Fe26 0.3587 0.9629 0.8255
Fe27 0.6829 0.3171 0.7541
Fe28 0.9629 0.3587 0.1745
Fe29 0.4028 0.4028 0.7000
Fe30 0.5972 0.5972 0.3000
Fe31 0.7244 0.0661 0.3739
Fe32 0.5371 0.8587 0.6745
Fe33 0.5661 0.7756 0.8739
Fe34 0.5000 0.5000 0.8841
Fe35 0.8587 0.5371 0.6745
Fe36 0.0371 0.6413 0.8255
Fe37 0.1829 0.1829 0.7459
Fe38 0.0661 0.7244 0.6261
Fe39 0.0972 0.9028 0.8000
Fe40 0.8171 0.8171 0.2541
Fe41 0.0972 0.9028 0.2000
Fe42 0.6829 0.3171 0.2459
Fe43 0.4629 0.1413 0.3255
Fe44 0.5661 0.7756 0.1261
Fe45 0.5000 0.0000 0.5000
Fe46 0.3587 0.9629 0.1745
Fe47 0.8587 0.5371 0.3255
Fe48 0.0000 0.0000 0.6159
Fe49 0.7244 0.0661 0.6261
Fe50 0.1413 0.4629 0.3255
Fe51 0.6413 0.0371 0.1745
Fe52 0.9339 0.2756 0.6261
Fe53 0.8171 0.8171 0.7459
Fe54 0.7756 0.5661 0.8739
Fe55 0.4339 0.2244 0.1261
Fe56 0.9028 0.0972 0.2000
B1 0.8752 0.1248 0.5000
B2 0.1248 0.8752 0.5000
B3 0.6248 0.6248 0.0000
B4 0.3752 0.3752 0.0000
Ho1 0.1436 0.1436 0.0000
Ho2 0.2331 0.2331 0.5000
Ho3 0.2669 0.7331 0.0000
Ho4 0.8564 0.8564 0.0000
Ho5 0.7669 0.7669 0.5000
Ho6 0.3564 0.6436 0.5000
Ho7 0.7331 0.2669 0.0000
Ho8 0.6436 0.3564 0.5000

---

[4]
Mg14SnC: relaxed, PBE.

Results
Formation energy: 4.0 eV per formula unit
SG: P-6m2
Crystal system: hexagonal

Unit cell a=6.2555 b=6.2555 c=10.0251 alpha=90.00 beta=90.00 gamma=120.00
Sites, in units of the cell vectors:
Mg1 0.3293 0.6587 0.8559
Mg2 0.3293 0.6587 0.3941
Mg3 0.8333 0.6667 0.3763
Mg4 0.3293 0.1707 0.3941
Mg5 0.6705 0.8295 0.6250
Mg6 0.3293 0.1707 0.8559
Mg7 0.1688 0.8344 0.1250
Mg8 0.8413 0.1707 0.3941
Mg9 0.8333 0.6667 0.8737
Mg10 0.6705 0.3409 0.6250
Mg11 0.8413 0.1707 0.8559
Mg12 0.1591 0.8295 0.6250
Mg13 0.6656 0.3312 0.1250
Mg14 0.6656 0.8344 0.1250
Sn1 0.1667 0.3333 0.1250
C1 0.1667 0.3333 0.6250